The following is a DFT calculation (PBE with a Hubbard U) of an optimized crystal structure of Li4TiNi3Sn2P6O24.

a = 9.2193 Å, b = 9.1407 Å, c = 9.2727 Å
α = 55.11°, β = 54.32°, γ = 55.24°
With the nearest neighbours (Å) after each atom.
Atoms (fractional coordinates):
O1 0.1919 0.5449 0.4667  1 P 1.57
O2 0.8568 0.1057 0.7436  1 P 1.58
O3 0.2023 0.3877 0.9841  1 P 1.50
O4 0.7509 0.4609 0.8686  1 P 1.52
O5 0.8886 0.2509 0.1174  1 P 1.57
O6 0.5326 0.8232 0.4451  1 P 1.53
O7 0.8553 0.7619 0.4649  1 P 1.52
O8 0.6229 0.9635 0.8108  1 P 1.54
O9 0.1117 0.7435 0.8539  1 P 1.60
O10 0.2668 0.1213 0.8908  1 P 1.55
O11 0.1813 0.5494 0.1514  1 P 1.56
O12 0.1553 0.1884 0.5150  1 P 1.56
O13 0.9971 0.7967 0.6111  1 P 1.54
O14 0.5473 0.4753 0.2028  1 P 1.57
O15 0.8163 0.6023 0.9900  1 P 1.54
O16 0.4491 0.5231 0.8282  1 P 1.53
O17 0.5050 0.1925 0.5461  1 P 1.58
O18 0.9536 0.2078 0.3927  1 P 1.54
O19 0.3838 0.9687 0.2190  1 P 1.51
O20 0.8230 0.4472 0.5286  1 P 1.53
O21 0.4465 0.8765 0.7499  1 P 1.53
O22 0.1044 0.9009 0.2608  1 P 1.56
O23 0.5354 0.1566 0.1864  1 P 1.56
O24 0.7427 0.8601 0.1045  1 P 1.60
P1 0.7491 0.4537 0.0372  4 O 1.52-1.57
P2 0.9512 0.2412 0.5390  4 O 1.53-1.58
P3 0.5394 0.9578 0.2426  4 O 1.51-1.60
P4 0.2400 0.5423 0.9590  4 O 1.50-1.60
P5 0.4634 0.0334 0.7501  4 O 1.53-1.58
P6 0.0327 0.7475 0.4568  4 O 1.52-1.57
Sn1 0.4459 0.5019 0.4754  3 O 2.19-2.29
Sn2 0.0462 0.0148 0.0084  3 O 2.17-2.24
Li1 0.7901 0.1363 0.3959  3 O 1.94-2.03
Li2 0.8946 0.6501 0.2973  3 O 1.92-2.08
Li3 0.6474 0.2885 0.9041  4 O 1.93-2.13
Li4 0.2894 0.9096 0.6343  4 O 1.93-2.13
Ti1 0.8545 0.8404 0.8562  6 O 1.92-2.03
Ni1 0.6450 0.6523 0.6570  6 O 2.02-2.10
Ni2 0.1593 0.1504 0.1550  4 O 1.92-2.14
Ni3 0.3315 0.3478 0.3225  5 O 2.03-2.27

Computed properties:
Crystal system: triclinic
E_form: -2471 meV/atom
Total energy: -266.87 eV per cell
Space group: P1
Size of the total moment: 6.01 μB/f.u.